Entry 1
Here is a relaxed SnTePbSe crystal from the Materials Project database. Energies are from PBE.

Cell: 4.4897 4.4897 6.3347 Å, 90.00 90.00 90.00°
Positions (direct):
Se 0.0000 0.0000 0.5000
Sn 0.5000 0.5000 0.5000
Te 0.5000 0.5000 0.0000
Pb 0.0000 0.0000 0.0000

=====

Entry 2
Here is a relaxed SnTePbSe crystal from the Materials Project database. Energies are from PBE.

Cell: 7.7504 7.7504 7.7504 Å, 33.55 33.55 33.55°
Positions (direct):
Te 0.2475 0.2475 0.2475
Se 0.7520 0.7520 0.7520
Sn 0.4953 0.4953 0.4953
Pb 0.0053 0.0053 0.0053

=====

Quick look at relative energies in eV/atom: entry 1 0.037; entry 2 0.000.